# 1
DFT (PBE+U) results for an optimized crystal structure of MgCr3InO8.

The MP2020-corrected energy comes out at -7.491 eV/atom. As for the energy of formation: -1883 meV per atom. Its total energy is -6.607 eV per atom.

The space group is C2/m (No. 12) and the conventional cell measures 8.6589, 5.7819 and 6.2613 Å, with angles of 90.00, 95.14 and 90.00 degrees. The inequivalent atoms are Mg at (0.0000, 0.0000, 0.0000), Cr at (0.0000, 0.5000, 0.5000), Cr at (0.1579, 0.0000, 0.6728), In at (0.0000, 0.5000, 0.0000), O at (0.0148, 0.2427, 0.7361), O at (0.2249, 0.5000, 0.5313) and O at (0.2469, 0.0000, 0.9408).

# 2
DFT (PBE+U) results for an optimized crystal structure of Li2MnCr3O8.

The MP2020-corrected energy comes out at -8.071 eV/atom. As for the energy of formation: -2248 meV per atom. Its total energy is -7.131 eV per atom.

The space group is P4_32_12 (No. 96) and the conventional cell measures 8.3387, 8.3387 and 8.4242 Å, with angles of 90.00, 90.00 and 90.00 degrees. The inequivalent atoms are Li at (0.0015, 0.2511, 0.3766), Mn at (0.1220, 0.8780, 0.2500), Cr at (0.1250, 0.1250, 0.0000), Cr at (0.1278, 0.3715, 0.7494), O at (0.1100, 0.8708, 0.4820), O at (0.1110, 0.1311, 0.7635), O at (0.1123, 0.6458, 0.2601) and O at (0.1163, 0.3539, 0.9889).

# 3
DFT (PBE+U) results for an optimized crystal structure of Ca3WO6.

The MP2020-corrected energy comes out at -7.947 eV/atom. As for the energy of formation: -3081 meV per atom. Its total energy is -7.091 eV per atom.

The space group is R-3 (No. 148, hexagonal axes) and the conventional cell measures 9.4732, 9.4732 and 11.1413 Å, with angles of 90.00, 90.00 and 120.00 degrees. The inequivalent atoms are Ca at (0.0412, 0.2689, 0.2067), W at (0.0000, 0.0000, 0.0000), W at (0.0000, 0.0000, 0.5000), O at (0.0263, 0.1781, 0.8953) and O at (0.0284, 0.1870, 0.4038).

# 4
DFT (PBE+U) results for an optimized crystal structure of MgCo3NiO8.

The MP2020-corrected energy comes out at -6.567 eV/atom. As for the energy of formation: -1314 meV per atom. Its total energy is -5.571 eV per atom.

The space group is Cm (No. 8) and the conventional cell measures 9.8230, 5.6581 and 6.1580 Å, with angles of 90.00, 122.08 and 90.00 degrees. The inequivalent atoms are Mg at (0.0000, 0.0000, 0.0000), Co at (0.1440, 0.5000, 0.4364), Co at (0.3991, 0.2446, 0.4366), Ni at (0.1614, 0.0000, 0.4785), O at (0.1223, 0.2690, 0.6298), O at (0.1689, 0.2483, 0.2529), O at (0.3777, 0.5000, 0.6281), O at (0.3913, 0.0000, 0.6297), O at (0.4181, 0.0000, 0.2472) and O at (0.4199, 0.5000, 0.2525).